Entry 1:
Below is CeMgPd after structural relaxation, with properties calculated at the r²SCAN level.

The structure in POSCAR format:
```
CeMgPd
1.0
3.835 -6.643 0.000
3.835 6.643 0.000
0.000 0.000 4.105
Ce Mg Pd
3 3 3
Cartesian
2.238 3.876 2.053 Ce
2.238 -3.877 2.053 Ce
3.194 0.000 2.053 Ce
5.854 0.000 0.000 Mg
0.908 -1.573 0.000 Mg
4.743 -5.069 0.000 Mg
3.835 -6.642 2.053 Pd
3.835 -2.215 0.000 Pd
3.836 2.214 0.000 Pd
```

Output
ΔH_f (0 K)   -0.6057 eV per atom
Space group   P-62m (189)


Entry 2:
Below is CeMgPt after structural relaxation, with properties calculated at the r²SCAN level.

The structure in POSCAR format:
```
CeMgPt
1.0
4.550 4.280 4.263
-7.093 -1.343 2.226
1.271 -3.364 2.021
Ce Mg Pt
3 3 3
Cartesian
-1.484 1.718 3.793 Ce
-5.199 0.436 3.996 Ce
-2.944 -0.557 0.924 Ce
-4.778 -2.707 2.710 Mg
0.035 -0.984 2.550 Mg
-2.985 0.240 6.487 Mg
-2.579 -1.156 3.909 Pt
4.543 4.278 4.265 Pt
1.305 0.728 4.602 Pt
```

Output
ΔH_f (0 K)   -0.9295 eV per atom
Space group   Amm2 (38)


Entry 3:
Below is CeMgRh after structural relaxation, with properties calculated at the r²SCAN level.

The structure in POSCAR format:
```
CeMgRh
1.0
3.703 -6.412 0.000
3.701 6.413 0.000
0.000 0.000 4.119
Ce Mg Rh
3 3 3
Cartesian
2.163 -3.737 0.000 Ce
5.858 -2.669 0.000 Ce
3.086 -0.004 0.000 Ce
0.872 -1.509 2.060 Mg
4.573 -4.903 2.060 Mg
5.662 0.001 2.060 Mg
3.702 2.138 2.060 Rh
3.702 -2.137 2.060 Rh
3.701 6.413 0.000 Rh
```

Output
ΔH_f (0 K)   -0.5832 eV per atom
Space group   P-6 (174)


Entry 4:
Below is CeMgSi2 after structural relaxation, with properties calculated at the r²SCAN level.

The structure in POSCAR format:
```
CeMgSi2
1.0
4.210 0.000 -0.484
-0.056 4.210 -0.486
0.025 0.021 18.759
Ce Mg Si
4 4 8
Cartesian
2.928 4.029 16.180 Ce
1.905 0.862 7.286 Ce
1.252 0.201 1.608 Ce
2.275 3.369 10.503 Ce
2.629 1.595 13.585 Mg
1.550 2.636 4.204 Mg
0.496 3.701 13.586 Mg
3.683 0.530 4.203 Mg
0.322 1.390 12.069 Si
0.726 1.799 15.585 Si
3.453 2.431 2.204 Si
3.858 2.841 5.720 Si
0.059 1.124 9.785 Si
3.190 2.167 -0.080 Si
4.120 3.106 8.004 Si
0.989 2.064 17.868 Si
```

Output
ΔH_f (0 K)   -0.5785 eV per atom
Space group   C2/m (12)


Entry 5:
Below is Ce2MgSi2 after structural relaxation, with properties calculated at the r²SCAN level.

The structure in POSCAR format:
```
Ce2MgSi2
1.0
4.344 0.000 0.000
0.000 7.385 0.000
0.000 0.000 7.385
Ce Mg Si
4 2 4
Cartesian
2.172 1.328 5.021 Ce
2.172 2.364 1.328 Ce
2.172 5.021 6.056 Ce
2.172 6.056 2.364 Ce
0.000 0.000 0.000 Mg
0.000 3.692 3.692 Mg
0.000 2.846 6.539 Si
0.000 0.846 2.846 Si
0.000 6.538 4.538 Si
0.000 4.538 0.846 Si
```

Output
ΔH_f (0 K)   -0.6574 eV per atom
Space group   P4/mbm (127)


Entry 6:
Below is CeMgSn after structural relaxation, with properties calculated at the r²SCAN level.

The structure in POSCAR format:
```
CeMgSn
1.0
4.673 0.000 0.000
0.000 7.905 0.000
0.000 0.000 8.962
Ce Mg Sn
4 4 4
Cartesian
1.168 0.123 2.876 Ce
1.168 4.075 1.605 Ce
3.505 7.783 6.086 Ce
3.505 3.830 7.357 Ce
1.168 1.215 8.370 Mg
1.168 5.168 5.073 Mg
3.505 6.690 0.592 Mg
3.505 2.737 3.889 Mg
1.168 2.198 5.523 Sn
1.168 6.151 7.920 Sn
3.505 5.707 3.439 Sn
3.505 1.754 1.042 Sn
```

Output
ΔH_f (0 K)   -0.6379 eV per atom
Space group   Pnma (62)


Entry 7:
Below is YbCeMg2 after structural relaxation, with properties calculated at the r²SCAN level.

The structure in POSCAR format:
```
YbCeMg2
1.0
2.087 -3.697 3.255
3.389 1.454 3.875
-1.534 -0.229 5.120
Yb Ce Mg
1 1 2
Cartesian
0.000 0.000 0.000 Yb
1.971 -1.236 6.125 Ce
0.985 -0.618 3.062 Mg
2.956 -1.854 9.187 Mg
```

Output
ΔH_f (0 K)   -0.0279 eV per atom
Space group   Fm-3m (225)


Entry 8:
Below is CeMgZn2 after structural relaxation, with properties calculated at the r²SCAN level.

The structure in POSCAR format:
```
CeMgZn2
1.0
4.238 0.000 2.447
1.413 3.996 2.447
0.000 0.000 4.894
Ce Mg Zn
1 1 2
Cartesian
0.000 0.000 0.000 Ce
2.825 1.998 4.894 Mg
1.413 0.999 2.447 Zn
4.238 2.997 7.340 Zn
```

Output
ΔH_f (0 K)   -0.2776 eV per atom
Space group   Fm-3m (225)


Entry 9:
Below is Ce2MnN3 after structural relaxation, with properties calculated at the r²SCAN level.

The structure in POSCAR format:
```
Ce2MnN3
1.0
-0.868 -3.153 -1.184
0.096 1.324 -3.597
6.393 -0.591 1.995
Ce Mn N
2 1 3
Cartesian
1.369 -1.355 -2.506 Ce
4.251 -1.066 -0.280 Ce
0.000 0.000 0.000 Mn
3.666 -1.930 -2.657 N
1.954 -0.490 -0.128 N
0.048 0.662 -1.798 N
```

Output
ΔH_f (0 K)   -1.5203 eV per atom
Space group   Immm (71)


Entry 10:
Below is CeMn2Si2 after structural relaxation, with properties calculated at the r²SCAN level.

The structure in POSCAR format:
```
CeMn2Si2
1.0
3.874 0.000 -1.379
-0.491 3.843 -1.379
-0.042 -0.048 6.012
Ce Mn Si
1 2 2
Cartesian
0.000 0.000 0.000 Ce
0.579 2.858 1.627 Mn
2.762 0.937 1.627 Mn
2.070 2.351 -0.317 Si
1.271 1.444 3.571 Si
```

Output
ΔH_f (0 K)   -0.6302 eV per atom
Space group   I4/mmm (139)


Q: What is the ΔH_f (0 K) in the second record?
A: -0.9295 eV per atom